A plane-wave DFT calculation with PBE-GGA was carried out for a geometry-optimized RbU2SbS8 structure.

Calculated values
E_tot ... -6.047 eV per atom
Energy relative to the elements ... -1.32 eV per atom

Geometry as POSCAR:
```
RbU2SbS8
1.0
3.9783 -5.5898 0.0000
3.9783 5.5898 0.0000
-2.0201 0.0000 7.5625
Rb U Sb S
1 2 1 8
Cartesian
0.0000 0.0000 0.0000
3.9501 2.7977 4.0323
3.9501 -2.7977 4.0323
1.9533 0.0000 6.1038
0.0023 0.0000 4.5987
1.9744 1.8427 2.3189
1.9627 2.6974 5.8854
1.9744 -1.8427 2.3189
3.9199 0.0000 4.6221
5.9232 1.6748 2.3849
1.9627 -2.6974 5.8854
5.9232 -1.6748 2.3849
```

A plane-wave DFT calculation with PBE-GGA was carried out for a geometry-optimized TaP4S4Cl5 structure.

Calculated values
E_tot ... -4.904 eV per atom
Spin magnetization ... 0.0 μB per formula unit
Energy relative to the elements ... -1.03 eV per atom

Geometry as POSCAR:
```
TaP4S4Cl5
1.0
7.0865 0.0000 0.0000
3.4780 8.9896 0.0000
0.7649 3.2718 13.7116
Ta P S Cl
2 8 8 10
Cartesian
2.1017 3.4516 4.5510
9.2277 8.8098 9.1605
1.4462 3.4812 11.4559
3.0340 5.7770 1.0318
2.9780 5.8488 3.4104
5.0514 7.9598 2.3354
6.2779 4.3016 11.3762
8.3514 6.4126 10.3011
8.2953 6.4844 12.6798
9.8832 8.7802 2.2557
2.2194 4.6577 13.0528
2.3258 4.6351 9.9049
4.9905 6.5348 0.7593
4.8983 6.5450 3.9095
6.4310 5.7165 9.8020
6.3389 5.7266 12.9523
9.0036 7.6263 3.8067
9.1099 7.6038 0.6588
3.3960 7.4430 7.7531
3.7652 8.4975 10.8341
1.3606 1.4107 5.2704
3.5809 2.6594 2.8946
3.9242 3.6950 5.9816
7.4052 8.5664 7.7300
7.7484 9.6021 10.8170
9.9688 10.8508 8.4412
7.5642 3.7640 2.8775
7.9333 4.8184 5.9585
```

A plane-wave DFT calculation with PBE-GGA was carried out for a geometry-optimized NaScSnP2SO12 structure.

Calculated values
E_tot ... -6.950 eV per atom
Spin magnetization ... 0.0 μB per formula unit
Energy relative to the elements ... -2.63 eV per atom

Geometry as POSCAR:
```
NaScSnP2SO12
1.0
-5.1664 2.8015 6.4932
-0.8865 -8.1783 -3.0831
15.2715 -7.6633 15.4572
Sc O S P Na Sn
6 72 6 12 6 6
Cartesian
2.1692 -1.1329 2.3351
2.5066 -6.9856 4.8880
11.2610 -8.4345 18.3849
3.5200 -4.5458 10.7886
10.0371 -10.7602 12.7489
4.7439 -2.2201 16.4246
9.3085 -7.5392 18.7993
13.6142 -8.5180 13.6463
-1.1358 -3.7165 1.9635
9.8032 -11.9407 8.4328
-1.2843 -0.2068 5.8538
6.5760 -7.6908 15.3178
0.2088 -1.5798 2.0860
5.6181 -4.0016 10.7157
-0.7331 -2.7172 4.1786
-4.3830 -4.5384 5.2312
3.5254 -2.0371 6.0007
-1.7855 -5.9656 5.6722
7.6186 -5.1654 15.4605
9.5166 -6.4759 11.3026
0.5540 -6.0903 5.3024
6.0553 -7.3095 12.3805
8.6077 -6.8928 13.6538
1.2045 -8.9702 1.1996
1.2041 -8.8567 8.6104
12.1353 -10.2160 12.6760
4.0000 -8.7752 12.0208
10.5680 -12.7158 12.9581
8.0214 -4.1661 17.6755
-2.8903 -2.7675 6.2981
-0.2823 -6.4198 7.5714
11.4036 -6.8113 17.0642
2.1130 -8.4398 6.2592
7.6054 -8.1476 8.3028
-2.1784 -6.2418 1.8208
2.7001 -3.0885 2.5443
10.2785 -9.4117 16.9069
-0.8432 -2.0768 8.2066
9.9589 -10.4192 14.6966
8.9562 -11.5604 16.7563
4.0509 -6.5014 10.9978
5.3813 -9.9308 3.9238
1.5241 -7.9628 3.4099
7.1213 -4.4559 12.6148
-0.4618 -1.0951 10.4201
-3.2311 0.4880 4.5121
3.6267 -4.7672 8.6148
-2.8904 1.4472 6.6545
5.6659 -11.0806 12.9178
3.4418 -4.2048 12.7363
10.1438 -10.9815 10.5751
13.6385 -10.6703 14.5751
12.1910 -14.5055 12.1272
5.2253 -4.2779 6.8643
2.6492 -5.3623 3.5673
-0.3066 -4.2675 6.6425
8.0767 -11.2071 12.4998
11.3933 -11.6643 16.4145
12.5724 -13.5239 14.3408
-0.1467 -5.4438 0.1569
5.2329 -6.4212 7.8141
3.6268 -8.9819 8.2584
1.0883 -1.9332 6.3425
3.0207 -2.5745 10.2746
3.7614 -3.1973 14.9466
6.2106 -10.4819 8.6028
4.8762 -5.4499 14.4542
6.5836 -9.8340 16.2676
5.7841 -8.9316 6.1389
-4.4042 -2.2254 4.2989
1.5596 -4.9927 10.5395
9.5378 -8.7888 12.2349
4.3152 -7.6677 4.4643
7.9577 -4.1264 10.3458
11.0304 -7.0180 13.3018
3.2860 -5.7264 6.4725
-2.2020 -1.4533 2.5040
5.6739 -8.2912 10.1669
6.9227 -3.7461 11.3117
4.3005 -5.3135 7.4331
-0.4809 -5.7100 6.2683
13.4398 -9.9605 13.2720
-2.2166 0.9009 5.4728
5.6513 -8.7263 15.8867
11.4103 -13.9125 13.3600
-4.2482 -3.0500 5.5633
2.2689 -9.2644 7.5236
5.5366 -8.5501 4.6460
2.2883 -1.1189 5.7516
4.8932 -7.6981 11.3997
3.6390 -4.5318 14.2051
7.7739 -3.7846 16.1826
-1.6240 -1.4837 9.4394
-0.9805 -2.3357 2.6856
9.6726 -7.3005 12.5671
10.1561 -10.7461 16.1654
9.0650 -7.2332 16.1571
7.8741 -9.5767 10.4796
0.3106 -5.7843 2.6601
1.3570 -3.3624 8.5192
1.6613 -9.1971 11.1137
-0.8803 -8.1278 -3.0174
0.1981 0.1029 11.9086
-2.0392 -4.6625 0.3720
5.5815 -8.4860 8.1195
-0.9356 -2.2717 6.1592
12.9852 -6.5221 13.1629
6.7152 -6.1115 13.8689
```

A plane-wave DFT calculation with PBE-GGA was carried out for a geometry-optimized HgCSO3F3 structure.

Calculated values
E_tot ... -5.037 eV per atom
Spin magnetization ... 0.0 μB per formula unit
Energy relative to the elements ... -1.61 eV per atom

Geometry as POSCAR:
```
HgCSO3F3
1.0
5.3374 0.0000 0.0000
-0.4536 5.3363 0.0000
-1.6728 -1.5368 11.0746
Hg C S O F
2 2 2 6 6
Cartesian
0.5752 0.8148 0.8124
2.6359 2.9847 10.2622
-0.1966 0.7260 7.3425
3.4077 3.0735 3.7321
0.6348 0.6853 9.0246
2.5763 3.1142 2.0500
-0.3354 1.2738 9.9443
1.3778 2.2479 2.2880
0.9609 -0.7114 9.2517
2.2502 4.5110 1.8229
1.8333 1.5517 8.7866
3.5464 2.5257 1.1304
-0.8530 3.8922 3.7006
-0.6047 1.9822 7.0606
0.6475 0.3048 6.3810
2.5635 3.4947 4.6936
3.8158 1.8174 4.0140
4.0640 -0.0927 7.3740
```

A plane-wave DFT calculation with PBE-GGA was carried out for a geometry-optimized HfTiP2SO12 structure.

Calculated values
E_tot ... -7.870 eV per atom
Spin magnetization ... 0.0 μB per formula unit
Energy relative to the elements ... -2.93 eV per atom

Geometry as POSCAR:
```
HfTiP2SO12
1.0
8.7529 0.0000 0.0000
4.3743 7.5845 0.0000
0.0090 0.2006 22.5489
Hf Ti P S O
6 6 12 6 72
Cartesian
0.0000 0.0000 0.0000
0.0376 0.1116 11.2592
4.3889 2.6504 15.0843
8.7650 5.1352 7.4523
8.8631 5.1812 12.3031
8.7000 0.1630 16.1673
0.1528 0.0769 4.7987
4.2743 2.6302 8.5223
4.4322 2.5781 3.7685
4.5298 2.7415 19.8874
8.6405 5.1048 1.0681
8.8163 5.2177 18.8377
1.2751 2.2724 13.7004
3.1344 4.7901 17.5301
1.9413 2.5425 6.1232
2.5501 0.0379 2.4322
5.5678 4.7213 6.1344
7.5609 7.3495 9.8762
6.3267 5.2199 21.1893
6.9149 2.7448 17.5173
9.9546 7.3718 21.1943
10.6462 7.7054 13.6968
7.5398 2.1843 2.4438
11.3140 5.1001 9.8749
3.1097 5.4010 2.4432
5.6703 5.5196 13.7018
3.1790 0.4656 17.5232
5.7055 0.4596 6.1383
7.4444 2.9631 9.8882
10.0728 3.1096 21.2022
1.0380 1.3964 12.4596
3.7819 6.1695 17.3377
3.7635 5.9831 1.2336
1.0580 1.2732 5.9176
3.3212 3.9303 16.2699
2.7682 2.9298 20.9955
3.4486 3.8433 9.6548
2.8468 2.7344 4.9075
3.7296 4.0537 2.6277
4.9244 6.1055 5.8745
2.7868 2.4484 13.8936
2.7983 2.2998 7.3973
3.7724 4.0847 18.7485
1.6702 0.2647 1.2000
5.0667 6.1178 12.4966
1.7228 0.2954 17.3167
6.0530 7.5325 10.0892
6.0120 7.3569 3.6689
5.4284 6.4394 21.4088
5.4419 6.3401 14.8957
4.9473 4.0552 7.3814
5.0515 4.1878 13.8563
3.3953 1.3240 18.6800
3.4681 1.2340 2.7135
5.3200 3.8191 4.9038
3.8400 1.1430 9.6172
3.7872 1.0432 16.2917
5.4419 3.9519 20.9907
7.1177 5.3501 13.5056
7.7973 6.4381 8.6624
7.8041 6.3505 2.2012
7.2227 5.4095 19.9683
7.0842 4.8787 6.3374
4.9366 1.1702 20.9381
8.1628 6.7105 17.6774
8.1904 6.7117 11.1299
6.0574 2.9611 16.2644
7.1969 4.9793 22.4608
6.0063 2.7960 9.6835
5.0634 1.0487 4.9428
5.9857 2.4996 18.7408
6.0285 2.3725 2.7309
5.4005 1.3574 13.9152
5.4772 1.2660 7.3428
7.6757 3.7871 11.0927
9.3284 6.6990 22.4435
7.8104 3.9641 17.7691
9.4524 6.6926 6.2915
8.0928 3.5737 8.7098
9.7153 6.4778 19.9586
9.7532 6.4651 13.5248
8.1661 3.5777 2.1733
7.7223 1.2915 1.2043
7.1541 0.2788 5.9358
7.7943 1.4865 17.3618
7.1459 0.3074 12.4530
8.0707 1.6277 10.0526
11.4705 7.5360 21.4072
11.5259 7.4719 14.9411
9.3607 3.6378 13.4950
8.2018 1.4970 3.6670
10.4125 5.3082 8.6588
9.4362 3.6898 19.9941
10.4153 5.2307 2.2107
10.3724 4.9717 17.7856
9.7893 3.7577 6.3343
9.8434 3.9312 22.3958
10.4540 4.8362 11.1297
12.0900 6.2558 3.6148
9.4448 1.7609 21.3627
9.4314 1.6008 14.9494
12.2173 6.3099 10.1036
```

A plane-wave DFT calculation with PBE-GGA was carried out for a geometry-optimized HfTaN2 structure.

Calculated values
E_tot ... -10.942 eV per atom
Spin magnetization ... 0.0 μB per formula unit
Energy relative to the elements ... -1.50 eV per atom

Geometry as POSCAR:
```
HfTaN2
1.0
1.5863 0.9159 5.1344
-1.5863 0.9159 5.1344
0.0000 -1.8317 5.1344
Hf Ta N
1 1 2
Cartesian
0.0000 0.0000 0.0000
0.0000 0.0000 7.7016
0.0000 0.0000 3.8554
0.0000 0.0000 11.5478
```

A plane-wave DFT calculation with PBE-GGA was carried out for a geometry-optimized V3Br structure.

Calculated values
E_tot ... -6.628 eV per atom
Spin magnetization ... 0.0 μB per formula unit
Energy relative to the elements ... 0.46 eV per atom

Geometry as POSCAR:
```
V3Br
1.0
-1.7752 1.7752 4.5508
1.7752 -1.7752 4.5508
1.7752 1.7752 -4.5508
V Br
3 1
Cartesian
0.0000 0.0000 0.0000
1.7752 0.0000 2.2754
0.0000 1.7752 2.2754
0.0000 0.0000 4.5508
```

A plane-wave DFT calculation with PBE-GGA was carried out for a geometry-optimized Sc4Fe structure.

Calculated values
E_tot ... -6.355 eV per atom
Spin magnetization ... 0.0 μB per formula unit
Energy relative to the elements ... 0.41 eV per atom

Geometry as POSCAR:
```
Sc4Fe
1.0
0.0000 4.8762 4.8762
4.8762 0.0000 4.8762
4.8762 4.8762 0.0000
Sc Fe
8 2
Cartesian
7.4269 4.7636 4.7636
2.3255 2.3255 2.3255
4.9888 4.9888 2.3255
4.9888 2.3255 4.9888
4.7636 7.4269 4.7636
4.7636 4.7636 7.4269
7.4269 7.4269 7.4269
2.3255 4.9888 4.9888
3.6572 3.6572 3.6572
6.0953 6.0953 6.0953
```

A plane-wave DFT calculation with PBE-GGA was carried out for a geometry-optimized MgTa2Re2O12 structure.

Calculated values
E_tot ... -8.608 eV per atom
Spin magnetization ... 0.8 μB per formula unit
Energy relative to the elements ... -2.65 eV per atom

Geometry as POSCAR:
```
MgTa2Re2O12
1.0
5.2128 0.0000 0.0000
0.0000 7.5447 0.0000
-0.0023 0.0000 5.4804
Mg Ta Re O
1 2 2 12
Cartesian
0.0000 0.0000 0.0000
0.0915 1.9118 3.0270
0.0915 5.6329 3.0270
2.6917 1.9224 0.3305
2.6917 5.6223 0.3305
0.5357 0.0000 3.3165
1.2296 2.1986 4.6659
1.2296 5.3462 4.6659
1.7034 2.1742 1.8852
1.7034 5.3705 1.8852
2.0907 0.0000 0.3687
3.0987 3.7724 0.2847
3.8304 1.5206 4.3321
3.8304 6.0241 4.3321
4.3184 1.4173 1.3645
4.3184 6.1274 1.3645
4.7961 3.7724 2.9359
```

A plane-wave DFT calculation with PBE-GGA was carried out for a geometry-optimized HfCuSn structure.

Calculated values
E_tot ... -6.291 eV per atom
Energy relative to the elements ... -0.27 eV per atom

Geometry as POSCAR:
```
HfCuSn
1.0
4.4921 0.0000 0.0000
-2.2461 3.8903 0.0000
0.0000 0.0000 6.4009
Hf Cu Sn
2 2 2
Cartesian
0.0000 0.0000 0.0000
0.0000 0.0000 3.2005
0.0000 2.5935 1.9346
2.2461 1.2968 5.1351
0.0000 2.5935 4.7592
2.2461 1.2968 1.5588
```

A plane-wave DFT calculation with PBE-GGA was carried out for a geometry-optimized BaSrY4Cu2O10 structure.

Calculated values
E_tot ... -7.516 eV per atom
Spin magnetization ... 2.0 μB per formula unit
Energy relative to the elements ... -3.06 eV per atom

Geometry as POSCAR:
```
BaSrY4Cu2O10
1.0
5.6895 0.0000 0.0000
0.0000 7.2164 0.0000
0.0000 0.0000 12.2044
Ba Sr Y Cu O
2 2 8 4 20
Cartesian
0.0000 1.2986 0.0000
0.0000 5.9179 6.1022
2.8447 2.3399 2.2576
2.8447 4.8766 8.3599
0.0000 2.5642 8.1524
0.0000 2.6195 4.6476
0.0000 4.5969 10.7498
0.0000 4.6522 2.0502
2.8447 0.9854 9.8429
2.8447 1.0513 6.3513
2.8447 6.1651 0.2491
2.8447 6.2310 3.7407
0.0000 0.2308 3.1149
0.0000 6.9857 9.2171
2.8447 3.3866 11.3762
2.8447 3.8299 5.2739
0.0000 2.3771 2.3604
0.0000 4.8393 8.4627
1.3847 0.6226 8.0775
1.3847 6.5938 1.9753
1.4072 0.7494 4.4774
1.4072 6.4670 10.5796
1.4644 2.8870 9.9923
1.4650 2.9955 6.4355
1.4650 4.2209 0.3333
1.4644 4.3295 3.8901
2.8447 1.2508 12.1981
2.8447 5.9656 6.0959
4.2250 2.8870 9.9923
4.2245 2.9955 6.4355
4.2245 4.2209 0.3333
4.2250 4.3295 3.8901
4.2823 0.7494 4.4774
4.2823 6.4670 10.5796
4.3048 0.6226 8.0775
4.3048 6.5938 1.9753
```